1.
DFT (PBE) results for a relaxed Sr5Ir2N6 crystal.

a b c (Å): 10.4715 7.1877 13.1048
angles (deg): 90.00 103.44 90.00
Space group C2/c (No. 15)
Symmetry-distinct sites (fractional):
Sr (0.0000, 0.1221, 0.2500)
Sr (0.0590, 0.2415, 0.0000)
Sr (0.1611, 0.3856, 0.7206)
Ir (0.2328, 0.4326, 0.4461)
N (0.0527, 0.4556, 0.3745)
N (0.1410, 0.0415, 0.6400)
N (0.2092, 0.0138, 0.4135)

Volume = 18.45 Å³/atom
Formation enthalpy at 0 K = -7.09 eV per formula unit

=====

2.
DFT (PBE) results for a relaxed K2PbO3 crystal.

a b c (Å): 6.1192 6.1192 12.6184
angles (deg): 90.00 90.00 120.00
Space group P6_3/mcm (No. 193)
Symmetry-distinct sites (fractional):
K (0.0000, 0.0000, 0.0000)
K (0.0000, 0.3171, 0.2500)
Pb (0.3333, 0.6667, 0.0000)
O (0.0000, 0.3857, 0.5999)

Volume = 17.05 Å³/atom
Formation enthalpy at 0 K = -9.57 eV per formula unit

=====

3.
DFT (PBE) results for a relaxed SiO2 crystal.

a b c (Å): 5.0844 5.0844 7.0978
angles (deg): 90.00 90.00 90.00
Space group P4_32_12 (No. 96)
Symmetry-distinct sites (fractional):
Si (0.2055, 0.2055, 0.0000)
O (0.0942, 0.7590, 0.5756)

Volume = 15.29 Å³/atom
Largest piezoelectric modulus = 0.0 C/m²
Formation enthalpy at 0 K = -9.79 eV per formula unit

=====

4.
DFT (PBE) results for a relaxed SrCuH4C4O8 crystal.

a b c (Å): 7.5503 8.8218 7.0561
angles (deg): 90.00 100.39 90.00
Space group P2/c (No. 13)
Symmetry-distinct sites (fractional):
Sr (0.0000, 0.1376, 0.2500)
Cu (0.5000, 0.4025, 0.2500)
H (0.1636, 0.4405, 0.7591)
H (0.4280, 0.1617, 0.9286)
C (0.2035, 0.3997, 0.6244)
C (0.3189, 0.1517, 0.0138)
O (0.0989, 0.3150, 0.5150)
O (0.1993, 0.0515, 0.9720)
O (0.3197, 0.2438, 0.1543)
O (0.3578, 0.4429, 0.5913)

Volume = 12.84 Å³/atom
Distance to the lowest polymorph of the same formula = 0.0 meV per atom
Formation enthalpy at 0 K = -26.09 eV per formula unit

=====

5.
DFT (PBE) results for a relaxed Sr3AlSb3 crystal.

a b c (Å): 20.6324 6.9651 13.6388
angles (deg): 90.00 90.00 90.00
Space group Cmce (No. 64)
Symmetry-distinct sites (fractional):
Sr (0.0000, 0.1899, 0.1459)
Sr (0.1760, 0.1973, 0.8709)
Al (0.0863, 0.0000, 0.5000)
Sb (0.0000, 0.2121, 0.3924)
Sb (0.1606, 0.2119, 0.6228)

Volume = 35.00 Å³/atom
Formation enthalpy at 0 K = -6.72 eV per formula unit

=====

6.
DFT (PBE) results for a relaxed Tm3Sc crystal.

a b c (Å): 6.9879 6.9879 5.4607
angles (deg): 90.00 90.00 120.00
Space group P6_3/mmc (No. 194)
Symmetry-distinct sites (fractional):
Tm (0.1685, 0.3371, 0.2500)
Sc (0.3333, 0.6667, 0.7500)

Volume = 28.87 Å³/atom
Formation enthalpy at 0 K = 0.06 eV per formula unit

=====

7.
DFT (PBE) results for a relaxed Ba4Tl13Hg3 crystal.

a b c (Å): 12.6672 5.2953 20.1795
angles (deg): 90.00 100.65 90.00
Space group Cm (No. 8)
Symmetry-distinct sites (fractional):
Ba (0.0000, 0.0000, 0.0000)
Ba (0.0005, 0.5000, 0.4979)
Ba (0.1434, 0.0000, 0.7927)
Ba (0.1450, 0.5000, 0.2943)
Tl (0.1946, 0.5000, 0.6682)
Tl (0.1979, 0.0000, 0.1697)
Tl (0.2121, 0.5000, 0.0834)
Tl (0.2168, 0.0000, 0.5834)
Tl (0.2921, 0.0000, 0.9803)
Tl (0.2918, 0.5000, 0.4789)
Tl (0.3474, 0.5000, 0.8132)
Tl (0.3538, 0.0000, 0.3136)
Tl (0.4283, 0.5000, 0.2089)
Tl (0.4335, 0.0000, 0.7071)
Tl (0.4485, 0.5000, 0.6220)
Tl (0.4497, 0.0000, 0.1234)
Tl (0.4585, 0.0000, 0.8701)
Hg (0.1884, 0.0000, 0.4213)
Hg (0.1932, 0.5000, 0.9212)
Hg (0.4568, 0.5000, 0.3713)

Volume = 33.26 Å³/atom
Formation enthalpy at 0 K = -5.57 eV per formula unit

=====

8.
DFT (PBE) results for a relaxed EuZn2Ge2 crystal.

a b c (Å): 4.3432 4.3432 10.7153
angles (deg): 90.00 90.00 90.00
Space group I4/mmm (No. 139)
Symmetry-distinct sites (fractional):
Eu (0.0000, 0.0000, 0.0000)
Zn (0.0000, 0.5000, 0.2500)
Ge (0.0000, 0.0000, 0.3816)

Volume = 20.21 Å³/atom
Distance to the lowest polymorph of the same formula = 7.4 meV per atom
Formation enthalpy at 0 K = -2.00 eV per formula unit

=====

9.
DFT (PBE) results for a relaxed NdCo12B6 crystal.

a b c (Å): 9.4216 9.4216 7.4500
angles (deg): 90.00 90.00 120.00
Space group R-3m (No. 166, hexagonal axes)
Symmetry-distinct sites (fractional):
Nd (0.0000, 0.0000, 0.0000)
Co (0.0000, 0.3671, 0.5000)
Co (0.0906, 0.1813, 0.3679)
B (0.0385, 0.5193, 0.2875)

Volume = 10.05 Å³/atom
Formation enthalpy at 0 K = -6.54 eV per formula unit

=====

10.
DFT (PBE) results for a relaxed Na2SrLa2Ti5O15 crystal.

a b c (Å): 39.4655 5.5306 5.5238
angles (deg): 90.00 97.86 90.00
Space group C2 (No. 5)
Symmetry-distinct sites (fractional):
Na (0.0998, 0.0000, 0.0987)
Na (0.2000, 0.5040, 0.6985)
Sr (0.0000, 0.0031, 0.0000)
Sr (0.0000, 0.5015, 0.5000)
La (0.1008, 0.5000, 0.5965)
La (0.2005, 0.0052, 0.1921)
Ti (0.0505, 0.0013, 0.5495)
Ti (0.0512, 0.4997, 0.0480)
Ti (0.1497, 0.5039, 0.1467)
Ti (0.1511, 0.0041, 0.6454)
Ti (0.2493, 0.0062, 0.7538)
O (0.0000, 0.5368, 0.0000)
O (0.0000, 0.9693, 0.5000)
O (0.0469, 0.2350, 0.2857)
O (0.0481, 0.2726, 0.7793)
O (0.0548, 0.7264, 0.3317)
O (0.0546, 0.7630, 0.8184)
O (0.1003, 0.4577, 0.1065)
O (0.1010, 0.0499, 0.6016)
O (0.1451, 0.7195, 0.8696)
O (0.1467, 0.7716, 0.3768)
O (0.1550, 0.2228, 0.9339)
O (0.1548, 0.2729, 0.4287)
O (0.2004, 0.5538, 0.2020)
O (0.2000, 0.9567, 0.7059)
O (0.2443, 0.2200, 0.4628)
O (0.2455, 0.2733, 0.9694)

Volume = 11.94 Å³/atom
Formation enthalpy at 0 K = -86.30 eV per formula unit

=====

11.
DFT (PBE) results for a relaxed Cu crystal.

a b c (Å): 2.5576 2.5576 8.3431
angles (deg): 90.00 90.00 120.00
Space group P6_3/mmc (No. 194)
Symmetry-distinct sites (fractional):
Cu (0.0000, 0.0000, 0.0000)
Cu (0.3333, 0.6667, 0.2500)

Volume = 11.82 Å³/atom
Distance to the lowest polymorph of the same formula = 5.8 meV per atom
Formation enthalpy at 0 K = 0.01 eV per formula unit

=====

12.
DFT (PBE) results for a relaxed CrN2 crystal.

a b c (Å): 19.7203 19.7203 19.7203
angles (deg): 90.00 90.00 90.00
Space group Im-3m (No. 229)
Symmetry-distinct sites (fractional):
Cr (0.0000, 0.3028, 0.4249)
N (0.0000, 0.1499, 0.5000)
N (0.0000, 0.3542, 0.3542)
N (0.0714, 0.2500, 0.4286)

Volume = 53.26 Å³/atom
Formation enthalpy at 0 K = 0.25 eV per formula unit

=====

13.
DFT (PBE) results for a relaxed Tl2I3O9 crystal.

a b c (Å): 7.2188 7.2496 10.7003
angles (deg): 86.81 72.96 72.24
Space group P-1 (No. 2)
Symmetry-distinct sites (fractional):
Tl (0.0000, 0.0000, 0.0000)
Tl (0.1593, 0.0311, 0.6014)
Tl (0.5000, 0.5000, 0.0000)
I (0.0341, 0.5249, 0.8090)
I (0.4122, 0.4469, 0.3700)
I (0.4462, 0.9620, 0.1916)
O (0.0400, 0.5490, 0.3253)
O (0.0774, 0.2119, 0.1868)
O (0.1569, 0.5476, 0.0500)
O (0.2875, 0.1466, 0.8090)
O (0.3200, 0.8340, 0.3247)
O (0.3372, 0.5642, 0.6082)
O (0.4103, 0.2006, 0.4167)
O (0.4356, 0.8272, 0.0505)
O (0.4668, 0.6234, 0.8086)

Volume = 18.20 Å³/atom
Formation enthalpy at 0 K = -13.15 eV per formula unit